A plane-wave DFT calculation with PBE with a Hubbard U was carried out for Ca51W12N56O3 after structural relaxation.

Cell lengths 10.6121, 12.4908, 16.0953 Å; angles 102.82, 95.08, 109.87 degrees
Element x y z (fractional)
N (0.5062, 0.9572, 0.0949)
N (0.0577, 0.3866, 0.1959)
N (0.4938, 0.0428, 0.9051)
N (0.2921, 0.6283, 0.2266)
N (0.8674, 0.8862, 0.8457)
N (0.3860, 0.2306, 0.8751)
N (0.3202, 0.4856, 0.8239)
N (0.8088, 0.1445, 0.8191)
N (0.3481, 0.4563, 0.0425)
N (0.7423, 0.2588, 0.1973)
N (0.5350, 0.8732, 0.5262)
N (0.8546, 0.9813, 0.4342)
N (0.2389, 0.5330, 0.3871)
N (0.9598, 0.7977, 0.0270)
N (0.6520, 0.6619, 0.3534)
N (0.8873, 0.7657, 0.2606)
N (0.4650, 0.1268, 0.4738)
N (0.2577, 0.7412, 0.8027)
N (0.5589, 0.8347, 0.7101)
N (0.6140, 0.7694, 0.1249)
N (0.6798, 0.5144, 0.1761)
N (0.5557, 0.7925, 0.9376)
N (0.6519, 0.5437, 0.9575)
N (0.7079, 0.3717, 0.7734)
N (0.7124, 0.3069, 0.4141)
N (0.4443, 0.2075, 0.0624)
N (0.3480, 0.3381, 0.6466)
N (0.1127, 0.2343, 0.7394)
N (0.4780, 0.0815, 0.6849)
N (0.5668, 0.6492, 0.5515)
N (0.2144, 0.9941, 0.9515)
N (0.7856, 0.0059, 0.0485)
N (0.8647, 0.0793, 0.2771)
N (0.1326, 0.1138, 0.1543)
N (0.6424, 0.5876, 0.7521)
N (0.1454, 0.0187, 0.5658)
N (0.0950, 0.4334, 0.6658)
N (0.7611, 0.4670, 0.6129)
N (0.1912, 0.8555, 0.1809)
N (0.7808, 0.3016, 0.9908)
N (0.9587, 0.7540, 0.5295)
N (0.5220, 0.9185, 0.3151)
N (0.2192, 0.6984, 0.0092)
N (0.0413, 0.2460, 0.4705)
N (0.0136, 0.3971, 0.9006)
N (0.1214, 0.0549, 0.3603)
N (0.4332, 0.3508, 0.4485)
N (0.1353, 0.9207, 0.7229)
N (0.0402, 0.2023, 0.9730)
N (0.2876, 0.6931, 0.5859)
N (0.9050, 0.5666, 0.3342)
N (0.4411, 0.1653, 0.2899)
N (0.9423, 0.6134, 0.8041)
N (0.8786, 0.9451, 0.6397)
N (0.3576, 0.4124, 0.2479)
N (0.9864, 0.6029, 0.0994)
Ca (0.1186, 0.6598, 0.4574)
Ca (0.5197, 0.4304, 0.8202)
Ca (0.7124, 0.8642, 0.2830)
Ca (0.2331, 0.2788, 0.0962)
Ca (0.8415, 0.4878, 0.9347)
Ca (0.3986, 0.8058, 0.1690)
Ca (0.6444, 0.1437, 0.0541)
Ca (0.7369, 0.8067, 0.4941)
Ca (0.8133, 0.5433, 0.4847)
Ca (0.1585, 0.5122, 0.0653)
Ca (0.4588, 0.6063, 0.9784)
Ca (0.5626, 0.3217, 0.2152)
Ca (0.3556, 0.8563, 0.9459)
Ca (0.3223, 0.9789, 0.3283)
Ca (0.6014, 0.1942, 0.8310)
Ca (0.1867, 0.4567, 0.5153)
Ca (0.0691, 0.8260, 0.8378)
Ca (0.9116, 0.3057, 0.7459)
Ca (0.2876, 0.1358, 0.7170)
Ca (0.0133, 0.9493, 0.2006)
Ca (0.7669, 0.7212, 0.9038)
Ca (0.4374, 0.6783, 0.7848)
Ca (0.0305, 0.8802, 0.4148)
Ca (0.7540, 0.7734, 0.7071)
Ca (0.3615, 0.9045, 0.7479)
Ca (0.7800, 0.6704, 0.0971)
Ca (0.9309, 0.1740, 0.1622)
Ca (0.6932, 0.9576, 0.8781)
Ca (0.0000, 0.0000, 0.0000)
Ca (0.0884, 0.6943, 0.2541)
Ca (0.4718, 0.5230, 0.4013)
Ca (0.4062, 0.7649, 0.3721)
Ca (0.9695, 0.1198, 0.5852)
Ca (0.5938, 0.2351, 0.6279)
Ca (0.3557, 0.9642, 0.5443)
Ca (0.8562, 0.4189, 0.1427)
Ca (0.8996, 0.3685, 0.3312)
Ca (0.2200, 0.3296, 0.9029)
Ca (0.6777, 0.0211, 0.6717)
Ca (0.1438, 0.5811, 0.8573)
Ca (0.9867, 0.0507, 0.7994)
Ca (0.2631, 0.1933, 0.5059)
Ca (0.2460, 0.2266, 0.2929)
Ca (0.5412, 0.3937, 0.0216)
Ca (0.6385, 0.0955, 0.2521)
Ca (0.3068, 0.0424, 0.1219)
Ca (0.5282, 0.4770, 0.5987)
Ca (0.1004, 0.6315, 0.6688)
Ca (0.4803, 0.5696, 0.1798)
Ca (0.8814, 0.3402, 0.5426)
Ca (0.6443, 0.0358, 0.4557)
W (0.2205, 0.3758, 0.7145)
W (0.6275, 0.8825, 0.0564)
W (0.5221, 0.2438, 0.4092)
W (0.9090, 0.2567, 0.9281)
W (0.4779, 0.7562, 0.5908)
W (0.7724, 0.5133, 0.7352)
W (0.7795, 0.6242, 0.2855)
W (0.0318, 0.9026, 0.6156)
W (0.9682, 0.0974, 0.3844)
W (0.3725, 0.1175, 0.9436)
W (0.0910, 0.7433, 0.0719)
W (0.2276, 0.4867, 0.2648)
O (0.7821, 0.1773, 0.6051)
O (0.0000, 0.5000, 0.5000)
O (0.2179, 0.8227, 0.3949)

Output
- Magnetization: 0.00 Bohr magnetons per cell
- Space-group type: P-1
- E_form: -0.940 eV/atom
- Volume: 1925 Å³/cell

***

A plane-wave DFT calculation with PBE with a Hubbard U was carried out for NaNi4H9C3O15 after structural relaxation.

Cell lengths 10.4468, 10.4468, 6.0941 Å; angles 90.00, 90.00, 120.00 degrees
Element x y z (fractional)
O (0.4088, 0.2686, 0.1852)
O (0.5157, 0.6992, 0.3319)
O (0.1955, 0.0946, 0.6215)
O (0.1835, 0.4843, 0.3319)
O (0.8991, 0.8045, 0.6215)
O (0.5841, 0.9142, 0.5068)
O (0.8165, 0.5157, 0.8319)
O (0.5912, 0.7314, 0.6852)
O (0.9142, 0.3300, 0.0068)
O (0.9054, 0.1009, 0.6215)
O (0.7314, 0.1402, 0.1852)
O (0.8628, 0.3816, 0.4899)
O (0.0858, 0.6700, 0.5068)
O (0.1372, 0.6184, 0.9899)
O (0.4159, 0.0858, 0.0068)
O (0.1402, 0.4088, 0.6852)
O (0.0946, 0.8991, 0.1215)
O (0.4843, 0.3008, 0.8319)
O (0.8045, 0.9054, 0.1215)
O (0.5189, 0.1372, 0.4899)
O (0.3300, 0.4159, 0.5068)
O (0.6184, 0.4811, 0.4899)
O (0.1009, 0.1955, 0.1215)
O (0.6992, 0.1835, 0.8319)
O (0.3008, 0.8165, 0.3319)
O (0.8598, 0.5912, 0.1852)
O (0.3816, 0.5189, 0.9899)
O (0.4811, 0.8628, 0.9899)
O (0.2686, 0.8598, 0.6852)
O (0.6700, 0.5841, 0.0068)
Ni (0.4868, 0.0024, 0.7530)
Ni (0.5132, 0.9976, 0.2530)
Ni (0.5156, 0.5132, 0.7530)
Ni (0.6667, 0.3333, 0.6374)
Ni (0.0024, 0.5156, 0.2530)
Ni (0.3333, 0.6667, 0.1374)
Ni (0.4844, 0.4868, 0.2530)
Ni (0.9976, 0.4844, 0.7530)
H (0.9505, 0.2044, 0.6667)
H (0.4462, 0.1625, 0.4351)
H (0.1625, 0.7163, 0.9351)
H (0.0621, 0.2633, 0.1081)
H (0.2012, 0.9379, 0.1081)
H (0.2044, 0.2539, 0.1667)
H (0.7956, 0.7461, 0.6667)
H (0.2633, 0.2012, 0.6081)
H (0.7163, 0.5538, 0.4351)
H (0.0495, 0.7956, 0.1667)
H (0.8375, 0.2837, 0.4351)
H (0.2539, 0.0495, 0.6667)
H (0.7461, 0.9505, 0.1667)
H (0.9379, 0.7367, 0.6081)
H (0.2837, 0.4462, 0.9351)
H (0.7988, 0.0621, 0.6081)
H (0.5538, 0.8375, 0.9351)
H (0.7367, 0.7988, 0.1081)
Na (0.0000, 0.0000, 0.3685)
Na (0.0000, 0.0000, 0.8685)
C (0.2208, 0.7831, 0.5088)
C (0.5624, 0.7792, 0.5088)
C (0.7831, 0.5624, 0.0088)
C (0.4376, 0.2208, 0.0088)
C (0.7792, 0.2169, 0.0088)
C (0.2169, 0.4376, 0.5088)

Output
- Magnetization: 16.00 Bohr magnetons per cell
- Space-group type: P6_3
- E_form: -1.487 eV/atom
- Volume: 576 Å³/cell

***

A plane-wave DFT calculation with PBE with a Hubbard U was carried out for Li9Mn2Co5O16 after structural relaxation.

Cell lengths 5.1877, 5.9458, 10.2583 Å; angles 103.80, 95.24, 109.90 degrees
Element x y z (fractional)
O (0.2718, 0.8438, 0.9454)
O (0.0462, 0.4488, 0.1845)
O (0.7308, 0.1494, 0.0649)
O (0.3133, 0.3232, 0.9300)
O (0.4595, 0.2958, 0.3145)
O (0.4565, 0.7961, 0.3201)
O (0.5179, 0.2438, 0.6824)
O (0.0508, 0.9518, 0.1817)
O (0.5428, 0.7004, 0.6829)
O (0.9492, 0.0495, 0.8199)
O (0.9744, 0.5120, 0.8155)
O (0.7890, 0.5765, 0.4306)
O (0.2069, 0.9313, 0.5582)
O (0.7956, 0.0785, 0.4332)
O (0.6964, 0.6716, 0.0672)
O (0.1934, 0.4281, 0.5724)
Li (0.8904, 0.0578, 0.6218)
Li (0.6239, 0.1833, 0.8664)
Li (0.2488, 0.8779, 0.7456)
Li (0.1192, 0.4358, 0.3769)
Li (0.3736, 0.8115, 0.1280)
Li (0.3682, 0.3141, 0.1313)
Li (0.8802, 0.5709, 0.6275)
Li (0.1214, 0.9346, 0.3794)
Li (0.6341, 0.6904, 0.8659)
Co (0.7512, 0.1210, 0.2532)
Co (0.4883, 0.7557, 0.5048)
Co (0.2524, 0.3765, 0.7485)
Co (0.4917, 0.2511, 0.5009)
Co (0.7469, 0.6235, 0.2511)
Mn (0.0069, 0.9958, 0.9980)
Mn (0.0084, 0.4993, 0.9972)

Output
- Excess energy over the best structure of this formula in the dataset: 30.76 eV per formula unit
- Magnetization: 2.30 Bohr magnetons per cell
- Space-group type: P1
- E_form: -0.903 eV/atom
- Volume: 284 Å³/cell

***

A plane-wave DFT calculation with PBE with a Hubbard U was carried out for CaWO2 after structural relaxation.

Cell lengths 3.3958, 9.1086, 9.7054 Å; angles 103.64, 90.21, 100.61 degrees
Element x y z (fractional)
W (0.0126, 0.5253, 0.7831)
W (0.6821, 0.8637, 0.3804)
W (0.9874, 0.4747, 0.2169)
W (0.3179, 0.1363, 0.6196)
O (0.1887, 0.8798, 0.2373)
O (0.1911, 0.8801, 0.5355)
O (0.8113, 0.1202, 0.7627)
O (0.5905, 0.6818, 0.8339)
O (0.8089, 0.1199, 0.4645)
O (0.4373, 0.3731, 0.7273)
O (0.4095, 0.3182, 0.1661)
O (0.5627, 0.6269, 0.2727)
Ca (0.3855, 0.2656, 0.9306)
Ca (0.6145, 0.7344, 0.0694)
Ca (0.3227, 0.1487, 0.2917)
Ca (0.6773, 0.8513, 0.7083)

Output
- Excess energy over the best structure of this formula in the dataset: 0.87 eV per formula unit
- Magnetization: 13.06 Bohr magnetons per cell
- Space-group type: P-1
- E_form: -1.735 eV/atom
- Volume: 286 Å³/cell

***

E_form of number 4 (CaWO2)?
-1.735 eV/atom

***

Which of these has the highest E_form?
Li9Mn2Co5O16

***

Which formula does entry 4 have?
CaWO2

***

Copy entry 3 word for word.
A plane-wave DFT calculation with PBE with a Hubbard U was carried out for Li9Mn2Co5O16 after structural relaxation.

Cell lengths 5.1877, 5.9458, 10.2583 Å; angles 103.80, 95.24, 109.90 degrees
Element x y z (fractional)
O (0.2718, 0.8438, 0.9454)
O (0.0462, 0.4488, 0.1845)
O (0.7308, 0.1494, 0.0649)
O (0.3133, 0.3232, 0.9300)
O (0.4595, 0.2958, 0.3145)
O (0.4565, 0.7961, 0.3201)
O (0.5179, 0.2438, 0.6824)
O (0.0508, 0.9518, 0.1817)
O (0.5428, 0.7004, 0.6829)
O (0.9492, 0.0495, 0.8199)
O (0.9744, 0.5120, 0.8155)
O (0.7890, 0.5765, 0.4306)
O (0.2069, 0.9313, 0.5582)
O (0.7956, 0.0785, 0.4332)
O (0.6964, 0.6716, 0.0672)
O (0.1934, 0.4281, 0.5724)
Li (0.8904, 0.0578, 0.6218)
Li (0.6239, 0.1833, 0.8664)
Li (0.2488, 0.8779, 0.7456)
Li (0.1192, 0.4358, 0.3769)
Li (0.3736, 0.8115, 0.1280)
Li (0.3682, 0.3141, 0.1313)
Li (0.8802, 0.5709, 0.6275)
Li (0.1214, 0.9346, 0.3794)
Li (0.6341, 0.6904, 0.8659)
Co (0.7512, 0.1210, 0.2532)
Co (0.4883, 0.7557, 0.5048)
Co (0.2524, 0.3765, 0.7485)
Co (0.4917, 0.2511, 0.5009)
Co (0.7469, 0.6235, 0.2511)
Mn (0.0069, 0.9958, 0.9980)
Mn (0.0084, 0.4993, 0.9972)

Output
- Excess energy over the best structure of this formula in the dataset: 30.76 eV per formula unit
- Magnetization: 2.30 Bohr magnetons per cell
- Space-group type: P1
- E_form: -0.903 eV/atom
- Volume: 284 Å³/cell